## Na2SO4 (r2SCAN)

Data for a relaxed Na2SO4 crystal.

Lattice parameters (Å, degrees): 5.219 5.219 6.901 90.00 90.00 115.51
Fractional positions:
Na1 0.000 0.000 0.000
Na2 0.000 0.000 0.500
Na3 0.310 0.690 0.750
Na4 0.690 0.310 0.250
S1 0.350 0.650 0.250
S2 0.650 0.350 0.750
O1 0.232 0.335 0.250
O2 0.254 0.746 0.076
O3 0.254 0.746 0.424
O4 0.335 0.232 0.750
O5 0.665 0.768 0.250
O6 0.746 0.254 0.576
O7 0.746 0.254 0.924
O8 0.768 0.665 0.750

- calculated total energy (eV per atom) = -7.569
- calculated formation energy (eV/atom) = -1.991
- SG = No. 63
- volume (Å³ per cell) = 169.64